Compound: K2Na4Ca5Si12O34
Source: the Materials Project database
Functional: PBE-GGA
Structure: relaxed

Lattice parameters (Å, degrees): 10.452 10.452 12.857 70.82 109.18 137.18
Sites, in units of the cell vectors:
O 0.022 0.978 0.219
O 0.526 0.832 0.349
O 0.809 0.684 0.758
O 0.537 0.971 0.131
O 0.312 0.688 0.501
O 0.316 0.185 0.385
O 0.693 0.307 0.825
O 0.732 0.813 0.853
O 0.673 0.814 0.226
O 0.826 0.526 0.640
O 0.029 0.463 0.131
O 0.855 0.145 0.284
O 0.618 0.382 0.073
O 0.245 0.401 0.639
O 0.186 0.327 0.226
O 0.187 0.268 0.853
O 0.407 0.982 0.847
O 0.727 0.641 0.168
O 0.815 0.684 0.385
O 0.018 0.593 0.847
O 0.168 0.474 0.349
O 0.669 0.331 0.279
O 0.316 0.191 0.758
O 0.961 0.039 0.690
O 0.474 0.174 0.640
O 0.359 0.641 0.946
O 0.359 0.273 0.168
O 0.871 0.129 0.951
O 0.220 0.780 0.292
O 0.782 0.218 0.700
O 0.145 0.855 0.047
O 0.328 0.672 0.716
O 0.599 0.755 0.639
O 0.124 0.876 0.681
Si 0.812 0.779 0.261
Si 0.776 0.821 0.741
Si 0.305 0.695 0.370
Si 0.371 0.629 0.630
Si 0.221 0.188 0.261
Si 0.179 0.224 0.741
Si 0.647 0.941 0.242
Si 0.334 0.058 0.738
Si 0.699 0.301 0.699
Si 0.590 0.410 0.179
Si 0.059 0.353 0.242
Si 0.942 0.666 0.738
Na 0.003 0.997 0.994
Na 0.746 0.254 0.004
Na 0.488 0.512 0.941
Na 0.554 0.446 0.472
Ca 0.252 0.748 0.999
Ca 0.590 0.920 0.834
Ca 0.397 0.044 0.164
Ca 0.080 0.410 0.834
Ca 0.956 0.603 0.164
K 0.829 0.171 0.503
K 0.158 0.842 0.493

Calculated values
ΔH_f (0 K)   -2924 meV/atom
Volume   893.32 Å³/cell
Space group   Cm, No. 8
Magnetic moment   4.0 μB/f.u.
Raw total energy   -6.92 eV per atom

---

Compound: YThB8Rh8
Source: the Materials Project database
Functional: PBE-GGA
Structure: relaxed

Lattice parameters (Å, degrees): 5.363 5.363 7.558 90.00 90.00 90.00
Sites, in units of the cell vectors:
Y 0.000 0.000 0.500
B 0.500 0.168 0.650
B 0.666 0.000 0.151
B 0.334 0.000 0.151
B 0.832 0.500 0.350
B 0.500 0.832 0.650
B 0.000 0.334 0.849
B 0.000 0.666 0.849
B 0.168 0.500 0.350
Rh 0.751 0.000 0.853
Rh 0.250 0.500 0.642
Rh 0.249 0.000 0.853
Rh 0.000 0.249 0.147
Rh 0.500 0.750 0.358
Rh 0.750 0.500 0.642
Rh 0.500 0.250 0.358
Rh 0.000 0.751 0.147
Th 0.500 0.500 0.000

Calculated values
ΔH_f (0 K)   -579 meV/atom
Volume   217.39 Å³/cell
Space group   P-4m2, No. 115
Magnetic moment   0.0 μB/f.u.
Raw total energy   -7.59 eV per atom

---

Q: Which formula does entry 2 have?
A: YThB8Rh8

---

Repeat the second record exactly.
Compound: YThB8Rh8
Source: the Materials Project database
Functional: PBE-GGA
Structure: relaxed

Lattice parameters (Å, degrees): 5.363 5.363 7.558 90.00 90.00 90.00
Sites, in units of the cell vectors:
Y 0.000 0.000 0.500
B 0.500 0.168 0.650
B 0.666 0.000 0.151
B 0.334 0.000 0.151
B 0.832 0.500 0.350
B 0.500 0.832 0.650
B 0.000 0.334 0.849
B 0.000 0.666 0.849
B 0.168 0.500 0.350
Rh 0.751 0.000 0.853
Rh 0.250 0.500 0.642
Rh 0.249 0.000 0.853
Rh 0.000 0.249 0.147
Rh 0.500 0.750 0.358
Rh 0.750 0.500 0.642
Rh 0.500 0.250 0.358
Rh 0.000 0.751 0.147
Th 0.500 0.500 0.000

Calculated values
ΔH_f (0 K)   -579 meV/atom
Volume   217.39 Å³/cell
Space group   P-4m2, No. 115
Magnetic moment   0.0 μB/f.u.
Raw total energy   -7.59 eV per atom

---

Q: What is the raw total energy in the first record?
A: -6.92 eV per atom

---

Q: Look up the ΔH_f (0 K) of the first one.
A: -2924 meV/atom